No. 1
This record from the Materials Project database describes a geometry-optimized BaNaPrSeO6 structure. The functional is PBE.

Cell: 5.8947 5.8947 5.8947 Å, 60.00 60.00 60.00°
Closest atoms and distances in Å follow each position.
Fractional coordinates of all 10 atoms:
O1 0.2796 0.2796 0.7204  1 Se 1.84
O2 0.7204 0.2796 0.2796  1 Se 1.84
O3 0.7204 0.7204 0.2796  1 Se 1.84
O4 0.2796 0.7204 0.2796  1 Se 1.84
O5 0.7204 0.2796 0.7204  1 Se 1.84
O6 0.2796 0.7204 0.7204  1 Se 1.84
Se1 0.5000 0.5000 0.5000  6 O 1.84
Ba1 0.2500 0.2500 0.2500  12 O 2.96
Na1 0.7500 0.7500 0.7500  12 O 2.96
Pr1 0.0000 0.0000 0.0000  6 O 2.33

Calculated values
density	5.46	g cm⁻³

No. 2
This record from the Materials Project database describes a geometry-optimized Ba2NaReO6 structure. The functional is PBE.

Cell: 5.9548 5.9548 5.9548 Å, 60.00 60.00 60.00°
Closest atoms and distances in Å follow each position.
Fractional coordinates of all 10 atoms:
Na1 0.0000 0.0000 0.0000  6 O 2.31
O1 0.7261 0.7261 0.2739  1 Re 1.90
O2 0.2739 0.7261 0.2739  1 Re 1.90
O3 0.2739 0.7261 0.7261  1 Re 1.90
O4 0.7261 0.2739 0.7261  1 Re 1.90
O5 0.2739 0.2739 0.7261  1 Re 1.90
O6 0.7261 0.2739 0.2739  1 Re 1.90
Ba1 0.7500 0.7500 0.7500  12 O 2.98
Ba2 0.2500 0.2500 0.2500  12 O 2.98
Re1 0.5000 0.5000 0.5000  6 O 1.90

Calculated values
density	6.45	g cm⁻³

No. 3
This record from the Materials Project database describes a geometry-optimized Ba3NaRu2O9 structure. The functional is PBE.

Cell: 5.9496 5.9496 14.7232 Å, 90.00 90.00 120.00°
Closest atoms and distances in Å follow each position.
Fractional coordinates of all 30 atoms:
Ba1 0.6667 0.3333 0.4078  12 O 2.98-3.13
Ba2 0.3333 0.6667 0.9078  12 O 2.98-3.13
Ba3 0.6667 0.3333 0.0922  12 O 2.98-3.13
Ba4 0.3333 0.6667 0.5923  12 O 2.98-3.13
Ba5 0.0000 0.0000 0.2500  12 O 2.98
Ba6 0.0000 0.0000 0.7500  12 O 2.98
O1 0.1772 0.3544 0.0901  1 Ru 1.87
O2 0.8228 0.1772 0.5901  1 Ru 1.87
O3 0.6456 0.8228 0.4099  1 Ru 1.87
O4 0.5172 0.0343 0.7500  2 Ru 2.08
O5 0.5172 0.4828 0.7500  2 Ru 2.08
O6 0.4828 0.5172 0.2500  2 Ru 2.08
O7 0.8228 0.6456 0.5901  1 Ru 1.87
O8 0.3544 0.1772 0.9099  1 Ru 1.87
O9 0.4828 0.9657 0.2500  2 Ru 2.08
O10 0.8228 0.1772 0.9099  1 Ru 1.87
O11 0.1772 0.3544 0.4099  1 Ru 1.87
O12 0.0343 0.5172 0.2500  2 Ru 2.08
O13 0.9657 0.4828 0.7500  2 Ru 2.08
O14 0.6456 0.8228 0.0901  1 Ru 1.87
O15 0.8228 0.6456 0.9099  1 Ru 1.87
O16 0.3544 0.1772 0.5901  1 Ru 1.87
O17 0.1772 0.8228 0.4099  1 Ru 1.87
O18 0.1772 0.8228 0.0901  1 Ru 1.87
Ru1 0.3333 0.6667 0.1551  6 O 1.87-2.08
Ru2 0.3333 0.6667 0.3449  6 O 1.87-2.08
Ru3 0.6667 0.3333 0.6551  6 O 1.87-2.08
Ru4 0.6667 0.3333 0.8449  6 O 1.87-2.08
Na1 0.0000 0.0000 0.0000  6 O 2.26
Na2 0.0000 0.0000 0.5000  6 O 2.26

Calculated values
density	5.75	g cm⁻³

no.,energy relative to the elements (kJ per mole of atoms)
1,-226.3
2,-259.6
3,-217.7